A relaxed La2Mn3ZnO9 crystal. Source: Materials Project, functional GGA+U.

Computed properties:
VASP energy in eV per atom: -7.365
ΔH_f (0 K) in kcal/mol of atoms: -59.2
Energy with MP2020 corrections in eV/atom: -8.11
Space group: No. 62

Cell: 16.668 7.863 5.438 Å, 90.00 90.00 90.00°
Fractional coordinates of all 60 atoms:
La: 0.009 0.250 0.001
La: 0.174 0.250 0.475
La: 0.326 0.750 0.975
La: 0.491 0.750 0.501
La: 0.509 0.250 0.499
La: 0.674 0.250 0.025
La: 0.826 0.750 0.525
La: 0.991 0.750 0.999
Mn: 0.000 0.000 0.500
Mn: 0.000 0.500 0.500
Mn: 0.166 0.505 0.987
Mn: 0.166 0.995 0.987
Mn: 0.334 0.005 0.487
Mn: 0.334 0.495 0.487
Mn: 0.500 0.000 0.000
Mn: 0.500 0.500 0.000
Mn: 0.666 0.505 0.513
Mn: 0.666 0.995 0.513
Mn: 0.834 0.005 0.013
Mn: 0.834 0.495 0.013
Zn: 0.193 0.750 0.471
Zn: 0.307 0.250 0.971
Zn: 0.693 0.750 0.029
Zn: 0.807 0.250 0.529
O: 0.008 0.250 0.555
O: 0.068 0.529 0.792
O: 0.068 0.971 0.792
O: 0.096 0.044 0.262
O: 0.096 0.456 0.262
O: 0.164 0.250 0.914
O: 0.174 0.750 0.112
O: 0.232 0.555 0.684
O: 0.232 0.945 0.684
O: 0.268 0.055 0.184
O: 0.268 0.445 0.184
O: 0.326 0.250 0.612
O: 0.336 0.750 0.414
O: 0.404 0.544 0.762
O: 0.404 0.956 0.762
O: 0.432 0.029 0.292
O: 0.432 0.471 0.292
O: 0.492 0.750 0.055
O: 0.508 0.250 0.945
O: 0.568 0.529 0.708
O: 0.568 0.971 0.708
O: 0.596 0.044 0.238
O: 0.596 0.456 0.238
O: 0.664 0.250 0.586
O: 0.674 0.750 0.388
O: 0.732 0.555 0.816
O: 0.732 0.945 0.816
O: 0.768 0.055 0.316
O: 0.768 0.445 0.316
O: 0.826 0.250 0.888
O: 0.836 0.750 0.086
O: 0.904 0.544 0.738
O: 0.904 0.956 0.738
O: 0.932 0.029 0.208
O: 0.932 0.471 0.208
O: 0.992 0.750 0.445